Entry 1:
## VCrO3 (r2SCAN)

Data for a geometry-optimized VCrO3 structure.

Properties
Calculated density in Mg/m³: 5.04
Raw total energy in eV per atom: -11.93

The structure in CIF format:
```
data_VCrO3
_cell_length_a 5.052
_cell_length_b 5.395
_cell_length_c 8.658
_cell_angle_alpha 105.51
_cell_angle_beta 90.10
_cell_angle_gamma 117.71
_space_group_name_H-M_alt 'P 1'
_space_group_IT_number 1
_space_group_name_Hall 'P 1'
loop_
_atom_site_label
_atom_site_fract_x
_atom_site_fract_y
_atom_site_fract_z
V1 0.000 0.000 0.000
V2 0.059 0.105 0.343
V3 0.250 0.500 0.746
V4 0.759 0.505 0.249
Cr1 0.302 0.601 0.096
Cr2 0.508 0.009 0.497
Cr3 0.550 0.101 0.847
Cr4 0.804 0.607 0.597
O1 0.216 0.805 0.296
O2 0.251 0.806 0.645
O3 0.253 0.807 0.951
O4 0.304 0.301 0.894
O5 0.307 0.309 0.200
O6 0.353 0.306 0.545
O7 0.708 0.805 0.797
O8 0.744 0.801 0.145
O9 0.756 0.810 0.450
O10 0.802 0.305 0.700
O11 0.805 0.306 0.396
O12 0.850 0.309 0.047
```



Entry 2:
## KU2Se6 (r2SCAN)

Data for a geometry-optimized KU2Se6 structure.

Properties
Calculated density in Mg/m³: 6.57
Raw total energy in eV per atom: -29.37

The structure in CIF format:
```
data_KU2Se6
_cell_length_a 11.557
_cell_length_b 11.557
_cell_length_c 11.557
_cell_angle_alpha 159.56
_cell_angle_beta 152.36
_cell_angle_gamma 34.62
_space_group_name_H-M_alt 'P 1'
_space_group_IT_number 1
_space_group_name_Hall 'P 1'
loop_
_atom_site_label
_atom_site_fract_x
_atom_site_fract_y
_atom_site_fract_z
K1 0.000 0.000 0.000
U1 0.321 0.821 0.500
U2 0.679 0.179 0.500
Se1 0.150 0.395 0.755
Se2 0.229 0.229 0.000
Se3 0.360 0.605 0.755
Se4 0.640 0.395 0.245
Se5 0.771 0.771 0.000
Se6 0.850 0.605 0.245
```



Entry 3:
## LiEuTl2 (r2SCAN)

Data for a geometry-optimized LiEuTl2 structure.

Properties
Calculated density in Mg/m³: 9.01
Raw total energy in eV per atom: -37.22

The structure in CIF format:
```
data_LiEuTl2
_cell_length_a 5.288
_cell_length_b 5.288
_cell_length_c 5.288
_cell_angle_alpha 119.96
_cell_angle_beta 119.96
_cell_angle_gamma 90.07
_space_group_name_H-M_alt 'P 1'
_space_group_IT_number 1
_space_group_name_Hall 'P 1'
loop_
_atom_site_label
_atom_site_fract_x
_atom_site_fract_y
_atom_site_fract_z
Li1 0.000 0.000 0.000
Eu1 0.500 0.500 0.000
Tl1 0.250 0.750 0.500
Tl2 0.750 0.250 0.500
```



Entry 4:
## Sb2O3 (r2SCAN)

Data for a geometry-optimized Sb2O3 structure.

Properties
Calculated density in Mg/m³: 5.83
Raw total energy in eV per atom: -15.31

The structure in CIF format:
```
data_Sb2O3
_cell_length_a 4.964
_cell_length_b 12.379
_cell_length_c 5.403
_cell_angle_alpha 90.00
_cell_angle_beta 90.00
_cell_angle_gamma 90.00
_space_group_name_H-M_alt 'P 1'
_space_group_IT_number 1
_space_group_name_Hall 'P 1'
loop_
_atom_site_label
_atom_site_fract_x
_atom_site_fract_y
_atom_site_fract_z
Sb1 0.041 0.127 0.178
Sb2 0.041 0.373 0.678
Sb3 0.459 0.127 0.678
Sb4 0.459 0.373 0.178
Sb5 0.541 0.627 0.822
Sb6 0.541 0.873 0.322
Sb7 0.959 0.627 0.322
Sb8 0.959 0.873 0.822
O1 0.149 0.058 0.852
O2 0.149 0.442 0.352
O3 0.250 0.250 0.015
O4 0.250 0.250 0.515
O5 0.351 0.058 0.352
O6 0.351 0.442 0.852
O7 0.649 0.558 0.148
O8 0.649 0.942 0.648
O9 0.750 0.750 0.485
O10 0.750 0.750 0.985
O11 0.851 0.558 0.648
O12 0.851 0.942 0.148
```